The following is a DFT calculation (PBE with a Hubbard U) of an optimized crystal structure of Li2FeO2F.

abc: 5.212 5.212 5.146
angles: 81.07 81.07 120.69
Atoms (fractional coordinates):
Li 0.673 0.327 0.000
Li 0.327 0.673 0.000
Li 0.000 0.000 0.000
Li 0.500 0.500 0.500
Fe 0.811 0.189 0.500
Fe 0.189 0.811 0.500
O 0.070 0.414 0.733
O 0.930 0.586 0.267
O 0.586 0.930 0.267
O 0.414 0.070 0.733
F 0.238 0.238 0.254
F 0.762 0.762 0.746

The formation energy from the elements comes out at -2.254 eV per atom. As for the distance to the lowest polymorph of the same formula: 95 meV/atom. The space-group type is C2/m, No. 12.

The following is a DFT calculation (PBE with a Hubbard U) of an optimized crystal structure of Li8FeO4F2.

abc: 6.385 9.765 9.410
angles: 94.84 79.29 92.22
Atoms (fractional coordinates):
Li 0.386 0.744 0.389
Li 0.687 0.745 0.213
Li 0.813 0.755 0.787
Li 0.635 0.994 0.889
Li 0.856 0.495 0.440
Li 0.143 0.505 0.560
Li 0.063 0.005 0.287
Li 0.842 0.492 0.750
Li 0.115 0.756 0.612
Li 0.313 0.255 0.787
Li 0.659 0.008 0.249
Li 0.615 0.256 0.611
Li 0.092 0.742 0.250
Li 0.409 0.758 0.750
Li 0.643 0.006 0.560
Li 0.937 0.995 0.713
Li 0.893 0.255 0.060
Li 0.107 0.745 0.940
Li 0.865 0.506 0.111
Li 0.342 0.992 0.750
Li 0.607 0.245 0.940
Li 0.187 0.245 0.213
Li 0.393 0.755 0.060
Li 0.357 0.995 0.440
Li 0.591 0.242 0.250
Li 0.135 0.494 0.889
Li 0.885 0.244 0.389
Li 0.365 0.006 0.112
Li 0.908 0.258 0.749
Li 0.158 0.508 0.250
Li 0.563 0.505 0.287
Li 0.437 0.495 0.713
O 0.107 0.862 0.788
O 0.633 0.373 0.108
O 0.644 0.888 0.712
O 0.867 0.127 0.892
O 0.606 0.362 0.787
O 0.133 0.873 0.108
O 0.857 0.613 0.287
O 0.617 0.877 0.392
O 0.356 0.112 0.287
O 0.116 0.377 0.392
O 0.143 0.388 0.713
O 0.883 0.623 0.608
O 0.393 0.638 0.213
O 0.893 0.138 0.212
O 0.367 0.627 0.892
O 0.383 0.123 0.608
Fe 0.500 0.500 0.000
Fe 0.250 0.250 0.500
Fe 0.751 0.750 0.500
Fe 0.000 0.000 0.000
F 0.122 0.396 0.065
F 0.628 0.354 0.435
F 0.372 0.646 0.565
F 0.128 0.854 0.436
F 0.622 0.896 0.065
F 0.878 0.604 0.935
F 0.872 0.146 0.564
F 0.378 0.104 0.936

The formation energy from the elements comes out at -2.222 eV per atom. As for the distance to the lowest polymorph of the same formula: 9 meV/atom.

The following is a DFT calculation (PBE with a Hubbard U) of an optimized crystal structure of Li2FeO2F.

abc: 5.164 5.164 9.869
angles: 85.06 85.06 120.14
Atoms (fractional coordinates):
F 0.307 0.460 0.881
F 0.949 0.789 0.878
F 0.540 0.693 0.119
F 0.211 0.051 0.122
O 0.375 0.878 0.617
O 0.621 0.133 0.880
O 0.786 0.956 0.384
O 0.452 0.289 0.385
O 0.044 0.214 0.616
O 0.122 0.625 0.383
O 0.711 0.548 0.615
O 0.867 0.379 0.120
Li 0.834 0.653 0.247
Li 0.347 0.166 0.753
Li 0.990 0.483 0.749
Li 0.257 0.743 0.000
Li 0.909 0.091 0.000
Li 0.143 0.337 0.243
Li 0.663 0.857 0.757
Li 0.517 0.010 0.251
Fe 0.081 0.919 0.500
Fe 0.611 0.389 0.000
Fe 0.415 0.585 0.500
Fe 0.748 0.252 0.500

The formation energy from the elements comes out at -2.293 eV per atom. As for the distance to the lowest polymorph of the same formula: 56 meV/atom. The space-group type is C2, No. 5.